Na2SnTeO6: relaxed, GGA-PBE.

Cell lengths 5.495, 5.564, 9.562 Å; angles 90.00, 125.08, 90.00 degrees
Fractional positions:
Na 0.241 0.040 0.250
Na 0.241 0.460 0.750
Na 0.759 0.540 0.250
Na 0.759 0.960 0.750
Sn 0.000 0.000 0.500
Sn 0.000 0.500 0.000
Te 0.500 0.000 0.000
Te 0.500 0.500 0.500
O 0.165 0.196 0.954
O 0.165 0.304 0.454
O 0.260 0.712 0.952
O 0.260 0.788 0.452
O 0.350 0.027 0.759
O 0.350 0.473 0.259
O 0.650 0.527 0.741
O 0.650 0.973 0.241
O 0.740 0.212 0.548
O 0.740 0.288 0.048
O 0.835 0.696 0.546
O 0.835 0.804 0.046

Calculated values
DFT formation energy: -1.864 eV per atom
symmetry: P2_1/c
energy with MP2020 corrections: -5.813 eV/atom